No. 1
VASP calculation (GGA-PBE) on a relaxed structure of Na8Zr3ZnSi4P2O24.

Results
Formation enthalpy at 0 K ... -2.933 eV per atom
E_tot ... -7.035 eV/atom

Unit cell a=9.2566 b=9.2406 c=22.6519 alpha=89.92 beta=90.21 gamma=120.07
Last column: nearest neighbours and their distance in Å.
Fractional coordinates of all 126 atoms:
Na: 0.6374 0.0186 0.2414  5 O 2.37-2.65
Na: 0.3828 0.3625 0.2422  4 O 2.38-2.67
Na: 0.9804 0.6191 0.2422  3 O 2.38-2.45
Na: 0.6354 0.6193 0.7445  5 O 2.42-2.66
Na: 0.9800 0.3660 0.7481  5 O 2.41-2.66
Na: 0.3841 0.0139 0.7428  5 O 2.41-2.67
Na: 0.3124 0.3347 0.5859  5 O 2.47-2.72
Na: 0.0303 0.6984 0.5844  6 O 2.53-2.76
Na: 0.6615 0.9709 0.5900  6 O 2.56-2.82
Na: 0.3092 0.9712 0.0835  6 O 2.55-2.84
Na: 0.6620 0.6906 0.0835  6 O 2.54-2.84
Na: 0.0290 0.3380 0.0833  6 O 2.54-2.85
Na: 0.9663 0.6645 0.9170  6 O 2.51-2.76
Na: 0.6991 0.0353 0.9170  6 O 2.51-2.76
Na: 0.3343 0.3008 0.9181  6 O 2.53-2.80
Na: 0.9690 0.2894 0.4117  5 O 2.43-2.64
Na: 0.3151 0.0324 0.4140  5 O 2.44-2.67
Na: 0.7144 0.6789 0.4109  5 O 2.39-2.65
Na: 0.0059 0.9981 0.4937  5 O 2.43-2.69
Na: 0.0009 0.0011 0.9988  6 O 2.54-2.66
Na: 0.6708 0.3335 0.8273  6 O 2.42-2.70
Na: 0.6677 0.3368 0.3265  5 O 2.46-2.67
Na: 0.3344 0.6675 0.1617  6 O 2.48-2.71
Na: 0.3390 0.6751 0.6685  5 O 2.44-2.63
Zr: 0.9939 0.9953 0.8516  6 O 2.03-2.16
Zr: 0.9978 0.9930 0.6481  6 O 2.01-2.24
Zr: 0.0004 0.9999 0.1479  6 O 2.08-2.14
Zr: 0.6672 0.3336 0.9830  6 O 2.07-2.15
Zr: 0.6634 0.3383 0.4818  6 O 2.01-2.25
Zr: 0.3332 0.6668 0.0180  6 O 2.05-2.14
Zr: 0.3316 0.6664 0.5180  6 O 2.04-2.17
Zr: 0.3299 0.6619 0.3157  6 O 2.01-2.21
Zr: 0.3340 0.6706 0.8146  6 O 2.03-2.23
Zn: 0.0077 0.0003 0.3504  5 O 2.06-2.14
Zn: 0.6661 0.3323 0.6824  5 O 2.04-2.19
Zn: 0.6667 0.3333 0.1712  3 O 1.97
Si: 0.9980 0.6988 0.7496  4 O 1.61-1.66
Si: 0.7021 0.0017 0.7489  4 O 1.62-1.66
Si: 0.3740 0.0400 0.5856  4 O 1.61-1.66
Si: 0.6651 0.6268 0.5861  4 O 1.61-1.66
Si: 0.9623 0.6271 0.0866  4 O 1.61-1.66
Si: 0.6655 0.0383 0.0865  4 O 1.61-1.66
Si: 0.3733 0.3348 0.0863  4 O 1.61-1.66
Si: 0.6278 0.6653 0.9165  4 O 1.63-1.64
Si: 0.0374 0.3708 0.9161  4 O 1.64
Si: 0.3339 0.9642 0.9167  4 O 1.63-1.64
Si: 0.3309 0.3673 0.4164  4 O 1.62-1.66
Si: 0.0345 0.6660 0.4160  4 O 1.62-1.66
P: 0.2968 0.0005 0.2529  4 O 1.53-1.58
P: 0.7063 0.7080 0.2535  4 O 1.54-1.58
P: 0.9998 0.2926 0.2534  4 O 1.53-1.59
P: 0.2923 0.2943 0.7503  4 O 1.52-1.56
P: 0.9607 0.3341 0.5843  4 O 1.52-1.57
P: 0.6270 0.9616 0.4164  4 O 1.53-1.56
O: 0.2142 0.0207 0.3085  1 P 1.53
O: 0.8101 0.7935 0.3089  1 P 1.54
O: 0.9804 0.1885 0.3088  1 P 1.53
O: 0.2008 0.1864 0.8052  1 P 1.55
O: 0.9804 0.7970 0.8074  1 Si 1.65
O: 0.8183 0.0223 0.8073  1 Si 1.65
O: 0.7963 0.9768 0.6911  1 Si 1.66
O: 0.1840 0.2092 0.6943  1 P 1.56
O: 0.0294 0.8212 0.6917  1 Si 1.66
O: 0.7937 0.8173 0.1975  1 P 1.57
O: 0.0241 0.2071 0.1976  1 P 1.57
O: 0.1844 0.9755 0.1973  1 P 1.57
O: 0.8887 0.3678 0.6393  1 P 1.52
O: 0.4897 0.1159 0.6434  1 Si 1.61
O: 0.6280 0.5113 0.6435  1 Si 1.61
O: 0.8871 0.5148 0.1452  1 Si 1.61
O: 0.6283 0.1133 0.1451  1 Si 1.61
O: 0.4858 0.3723 0.1451  1 Si 1.61
O: 0.4577 0.3005 0.0279  1 Si 1.65
O: 0.8438 0.5430 0.0279  1 Si 1.65
O: 0.6997 0.1570 0.0280  1 Si 1.65
O: 0.4639 0.1554 0.5263  1 Si 1.66
O: 0.6976 0.5407 0.5269  1 Si 1.66
O: 0.8507 0.3069 0.5284  1 P 1.56
O: 0.5415 0.6963 0.9744  1 Si 1.64
O: 0.1542 0.4585 0.9745  1 Si 1.64
O: 0.3026 0.8461 0.9746  1 Si 1.64
O: 0.5381 0.8520 0.4715  1 P 1.56
O: 0.3115 0.4639 0.4740  1 Si 1.64
O: 0.1527 0.6917 0.4739  1 Si 1.64
O: 0.1306 0.6397 0.3588  1 Si 1.66
O: 0.5143 0.8757 0.3614  1 P 1.56
O: 0.3647 0.4917 0.3590  1 Si 1.66
O: 0.1263 0.4889 0.8584  1 Si 1.64
O: 0.3636 0.8742 0.8591  1 Si 1.64
O: 0.5103 0.6360 0.8585  1 Si 1.64
O: 0.0126 0.8294 0.4128  1 Si 1.62
O: 0.7996 0.9781 0.4132  1 P 1.53
O: 0.1638 0.1852 0.4131  1 Si 1.62
O: 0.0210 0.1862 0.9125  1 Si 1.64
O: 0.1687 0.9844 0.9119  1 Si 1.63
O: 0.8137 0.8332 0.9130  1 Si 1.64
O: 0.9805 0.1766 0.5878  1 P 1.56
O: 0.1894 0.0279 0.5874  1 Si 1.66
O: 0.8341 0.8151 0.5874  1 Si 1.66
O: 0.9798 0.8142 0.0912  1 Si 1.66
O: 0.8347 0.0206 0.0913  1 Si 1.66
O: 0.1860 0.1655 0.0910  1 Si 1.66
O: 0.6840 0.1668 0.7474  1 Si 1.62
O: 0.4644 0.3103 0.7488  1 P 1.52
O: 0.8306 0.5179 0.7468  1 Si 1.61
O: 0.6835 0.5318 0.2495  1 P 1.54
O: 0.8476 0.3165 0.2490  1 P 1.53
O: 0.4721 0.1548 0.2483  1 P 1.54
O: 0.6458 0.4986 0.9216  1 Si 1.63
O: 0.8533 0.3541 0.9213  1 Si 1.64
O: 0.5024 0.1476 0.9214  1 Si 1.63
O: 0.6410 0.1356 0.4212  1 P 1.55
O: 0.5018 0.3535 0.4202  1 Si 1.65
O: 0.8543 0.4903 0.4197  1 Si 1.65
O: 0.3476 0.4973 0.0788  1 Si 1.64
O: 0.1502 0.6528 0.0790  1 Si 1.64
O: 0.5030 0.8499 0.0790  1 Si 1.64
O: 0.3449 0.8487 0.5781  1 Si 1.66
O: 0.5022 0.6531 0.5776  1 Si 1.65
O: 0.1393 0.4900 0.5766  1 P 1.57
O: 0.3098 0.8365 0.2544  1 P 1.58
O: 0.5304 0.6975 0.2544  1 P 1.58
O: 0.1657 0.4701 0.2546  1 P 1.59
O: 0.3042 0.4683 0.7532  1 P 1.56
O: 0.1692 0.6859 0.7522  1 Si 1.65
O: 0.5203 0.8262 0.7518  1 Si 1.65

No. 2
VASP calculation (GGA-PBE) on a relaxed structure of Na4ScNbSi3O12.

Results
Formation enthalpy at 0 K ... -2.995 eV per atom
E_tot ... -7.240 eV/atom

Unit cell a=9.2167 b=9.2167 c=22.4420 alpha=90.00 beta=90.00 gamma=120.00
Last column: nearest neighbours and their distance in Å.
Fractional coordinates of all 126 atoms:
Na: 0.6381 0.0127 0.2470  5 O 2.43-2.71
Na: 0.3746 0.3619 0.2470  5 O 2.43-2.71
Na: 0.9873 0.6254 0.2470  5 O 2.43-2.71
Na: 0.6381 0.6254 0.7470  5 O 2.43-2.71
Na: 0.9873 0.3619 0.7470  5 O 2.43-2.71
Na: 0.3746 0.0127 0.7470  5 O 2.43-2.71
Na: 0.3048 0.3460 0.5803  5 O 2.43-2.71
Na: 0.0412 0.6952 0.5803  5 O 2.43-2.71
Na: 0.6540 0.9588 0.5803  5 O 2.43-2.71
Na: 0.3048 0.9588 0.0803  5 O 2.43-2.71
Na: 0.6540 0.6952 0.0803  5 O 2.43-2.71
Na: 0.0412 0.3460 0.0803  5 O 2.43-2.71
Na: 0.9715 0.6794 0.9136  5 O 2.43-2.71
Na: 0.7079 0.0285 0.9136  5 O 2.43-2.71
Na: 0.3206 0.2921 0.9136  5 O 2.43-2.71
Na: 0.9715 0.2921 0.4136  5 O 2.43-2.71
Na: 0.3206 0.0285 0.4136  5 O 2.43-2.71
Na: 0.7079 0.6794 0.4136  5 O 2.43-2.71
Na: 0.0000 0.0000 0.4949  6 O 2.49-2.63
Na: 0.0000 0.0000 0.9949  6 O 2.49-2.63
Na: 0.6667 0.3333 0.8282  6 O 2.49-2.63
Na: 0.6667 0.3333 0.3282  6 O 2.49-2.63
Na: 0.3333 0.6667 0.1616  6 O 2.49-2.63
Na: 0.3333 0.6667 0.6616  6 O 2.49-2.63
Sc: 0.0000 0.0000 0.3515  6 O 2.03-2.16
Sc: 0.0000 0.0000 0.8515  6 O 2.03-2.16
Sc: 0.6667 0.3333 0.6849  6 O 2.03-2.16
Sc: 0.6667 0.3333 0.1849  6 O 2.03-2.16
Sc: 0.3333 0.6667 0.0182  6 O 2.03-2.16
Sc: 0.3333 0.6667 0.5182  6 O 2.03-2.16
Nb: 0.0000 0.0000 0.6467  6 O 1.98-2.07
Nb: 0.0000 0.0000 0.1467  6 O 1.98-2.07
Nb: 0.6667 0.3333 0.9800  6 O 1.98-2.07
Nb: 0.6667 0.3333 0.4800  6 O 1.98-2.07
Nb: 0.3333 0.6667 0.3133  6 O 1.98-2.07
Nb: 0.3333 0.6667 0.8133  6 O 1.98-2.07
Si: 0.2927 0.9984 0.2518  4 O 1.61-1.69
Si: 0.7057 0.7073 0.2518  4 O 1.61-1.69
Si: 0.0016 0.2943 0.2518  4 O 1.61-1.69
Si: 0.2927 0.2943 0.7518  4 O 1.61-1.69
Si: 0.0016 0.7073 0.7518  4 O 1.61-1.69
Si: 0.7057 0.9984 0.7518  4 O 1.61-1.69
Si: 0.9593 0.3317 0.5851  4 O 1.61-1.69
Si: 0.3724 0.0407 0.5851  4 O 1.61-1.69
Si: 0.6683 0.6276 0.5851  4 O 1.61-1.69
Si: 0.9593 0.6276 0.0851  4 O 1.61-1.69
Si: 0.6683 0.0407 0.0851  4 O 1.61-1.69
Si: 0.3724 0.3317 0.0851  4 O 1.61-1.69
Si: 0.6260 0.6651 0.9185  4 O 1.61-1.69
Si: 0.0391 0.3740 0.9185  4 O 1.61-1.69
Si: 0.3349 0.9609 0.9185  4 O 1.61-1.69
Si: 0.6260 0.9609 0.4185  4 O 1.61-1.69
Si: 0.3349 0.3740 0.4185  4 O 1.61-1.69
Si: 0.0391 0.6651 0.4185  4 O 1.61-1.69
O: 0.2081 0.0267 0.3101  1 Si 1.61
O: 0.8186 0.7919 0.3101  1 Si 1.61
O: 0.9733 0.1814 0.3101  1 Si 1.61
O: 0.2081 0.1814 0.8101  1 Si 1.61
O: 0.9733 0.7919 0.8101  1 Si 1.61
O: 0.8186 0.0267 0.8101  1 Si 1.61
O: 0.8033 0.9701 0.6927  1 Si 1.69
O: 0.1669 0.1967 0.6927  1 Si 1.69
O: 0.0299 0.8331 0.6927  1 Si 1.69
O: 0.8033 0.8331 0.1927  1 Si 1.69
O: 0.0299 0.1967 0.1927  1 Si 1.69
O: 0.1669 0.9701 0.1927  1 Si 1.69
O: 0.8748 0.3601 0.6435  1 Si 1.61
O: 0.4853 0.1252 0.6435  1 Si 1.61
O: 0.6399 0.5147 0.6435  1 Si 1.61
O: 0.8748 0.5147 0.1435  1 Si 1.61
O: 0.6399 0.1252 0.1435  1 Si 1.61
O: 0.4853 0.3601 0.1435  1 Si 1.61
O: 0.4699 0.3035 0.0261  1 Si 1.69
O: 0.8335 0.5301 0.0261  1 Si 1.69
O: 0.6965 0.1665 0.0261  1 Si 1.69
O: 0.4699 0.1665 0.5261  1 Si 1.69
O: 0.6965 0.5301 0.5261  1 Si 1.69
O: 0.8335 0.3035 0.5261  1 Si 1.69
O: 0.5415 0.6934 0.9768  1 Si 1.61
O: 0.1519 0.4585 0.9768  1 Si 1.61
O: 0.3066 0.8481 0.9768  1 Si 1.61
O: 0.5415 0.8481 0.4768  1 Si 1.61
O: 0.3066 0.4585 0.4768  1 Si 1.61
O: 0.1519 0.6934 0.4768  1 Si 1.61
O: 0.1366 0.6368 0.3594  1 Si 1.69
O: 0.5002 0.8634 0.3594  1 Si 1.69
O: 0.3632 0.4998 0.3594  1 Si 1.69
O: 0.1366 0.4998 0.8594  1 Si 1.69
O: 0.3632 0.8634 0.8594  1 Si 1.69
O: 0.5002 0.6368 0.8594  1 Si 1.69
O: 0.0123 0.8255 0.4126  1 Si 1.62
O: 0.8132 0.9877 0.4126  1 Si 1.62
O: 0.1745 0.1868 0.4126  1 Si 1.62
O: 0.0123 0.1868 0.9126  1 Si 1.62
O: 0.1745 0.9877 0.9126  1 Si 1.62
O: 0.8132 0.8255 0.9126  1 Si 1.62
O: 0.9675 0.1549 0.5880  1 Si 1.67
O: 0.1875 0.0325 0.5880  1 Si 1.67
O: 0.8451 0.8125 0.5880  1 Si 1.67
O: 0.9675 0.8125 0.0880  1 Si 1.67
O: 0.8451 0.0325 0.0880  1 Si 1.67
O: 0.1875 0.1549 0.0880  1 Si 1.67
O: 0.6789 0.1588 0.7460  1 Si 1.62
O: 0.4799 0.3211 0.7460  1 Si 1.62
O: 0.8412 0.5201 0.7460  1 Si 1.62
O: 0.6789 0.5201 0.2460  1 Si 1.62
O: 0.8412 0.3211 0.2460  1 Si 1.62
O: 0.4799 0.1588 0.2460  1 Si 1.62
O: 0.6341 0.4883 0.9214  1 Si 1.67
O: 0.8541 0.3659 0.9214  1 Si 1.67
O: 0.5117 0.1459 0.9214  1 Si 1.67
O: 0.6341 0.1459 0.4214  1 Si 1.67
O: 0.5117 0.3659 0.4214  1 Si 1.67
O: 0.8541 0.4883 0.4214  1 Si 1.67
O: 0.3456 0.4921 0.0793  1 Si 1.62
O: 0.1465 0.6544 0.0793  1 Si 1.62
O: 0.5079 0.8535 0.0793  1 Si 1.62
O: 0.3456 0.8535 0.5793  1 Si 1.62
O: 0.5079 0.6544 0.5793  1 Si 1.62
O: 0.1465 0.4921 0.5793  1 Si 1.62
O: 0.3008 0.8216 0.2547  1 Si 1.67
O: 0.5208 0.6992 0.2547  1 Si 1.67
O: 0.1784 0.4792 0.2547  1 Si 1.67
O: 0.3008 0.4792 0.7547  1 Si 1.67
O: 0.1784 0.6992 0.7547  1 Si 1.67
O: 0.5208 0.8216 0.7547  1 Si 1.67

No. 3
VASP calculation (GGA-PBE) on a relaxed structure of MgTe4Mo2W2S4.

Results
Formation enthalpy at 0 K ... -0.502 eV per atom
E_tot ... -6.372 eV/atom
Relative energy among the computed polymorphs ... 2.66 kJ/mol of atoms

Unit cell a=3.3828 b=3.3825 c=41.2361 alpha=90.00 beta=90.08 gamma=120.00
Last column: nearest neighbours and their distance in Å.
Fractional coordinates of all 13 atoms:
Mg: 0.3299 0.6649 0.3809  1 S 2.70
Te: 0.3344 0.6673 0.7035  3 W 2.72
Te: 0.6659 0.3328 0.0480  3 W 2.72
Te: 0.6681 0.3339 0.1397  3 W 2.72
Te: 0.3322 0.6662 0.6117  3 W 2.72
Mo: 0.3307 0.6653 0.4743  6 S 2.46-2.48
Mo: 0.6662 0.3331 0.2789  6 S 2.46
W: 0.3336 0.6667 0.0938  6 Te 2.72
W: 0.6667 0.3335 0.6576  6 Te 2.72
S: 0.3336 0.6669 0.3153  3 Mo 2.46, 1 Mg 2.70
S: 0.6633 0.3316 0.4372  3 Mo 2.48
S: 0.6649 0.3324 0.5104  3 Mo 2.46
S: 0.3320 0.6660 0.2427  3 Mo 2.46

No. 4
VASP calculation (GGA-PBE) on a relaxed structure of BaNaTiF6.

Results
Formation enthalpy at 0 K ... -3.684 eV per atom
E_tot ... -5.890 eV/atom

Unit cell a=5.8047 b=9.9931 c=19.4160 alpha=90.00 beta=90.00 gamma=90.00
Last column: nearest neighbours and their distance in Å.
Fractional coordinates of all 72 atoms:
Ba: 0.7569 0.3644 0.1129  8 F 2.63-2.94
Ba: 0.2431 0.8644 0.8871  8 F 2.63-2.94
Ba: 0.7431 0.3644 0.6129  8 F 2.63-2.94
Ba: 0.2569 0.8644 0.3871  8 F 2.63-2.94
Ba: 0.2590 0.0039 0.1357  8 F 2.63-2.89
Ba: 0.7410 0.5039 0.8643  8 F 2.63-2.89
Ba: 0.2410 0.0039 0.6357  8 F 2.63-2.89
Ba: 0.7590 0.5039 0.3643  8 F 2.63-2.89
Na: 0.2624 0.6423 0.0632  6 F 2.35-2.55
Na: 0.7376 0.1423 0.9368  6 F 2.35-2.55
Na: 0.2376 0.6423 0.5632  6 F 2.35-2.55
Na: 0.7624 0.1423 0.4368  6 F 2.35-2.55
Na: 0.2634 0.2248 0.3123  6 F 2.36-2.57
Na: 0.7366 0.7248 0.6877  6 F 2.36-2.57
Na: 0.2366 0.2248 0.8123  6 F 2.36-2.57
Na: 0.7634 0.7248 0.1877  6 F 2.36-2.57
Ti: 0.2653 0.2639 0.4930  6 F 1.92-2.02
Ti: 0.7347 0.7639 0.5070  6 F 1.92-2.02
Ti: 0.2347 0.2639 0.9930  6 F 1.92-2.02
Ti: 0.7653 0.7639 0.0070  6 F 1.92-2.02
Ti: 0.2533 0.6034 0.2439  6 F 1.93-2.03
Ti: 0.7467 0.1034 0.7561  6 F 1.93-2.03
Ti: 0.2467 0.6034 0.7439  6 F 1.93-2.03
Ti: 0.7533 0.1034 0.2561  6 F 1.93-2.03
F: 0.0217 0.1733 0.0601  1 Ti 2.01
F: 0.9783 0.6733 0.9399  1 Ti 2.01
F: 0.4783 0.1733 0.5601  1 Ti 2.01
F: 0.5217 0.6733 0.4399  1 Ti 2.01
F: 0.3466 0.1177 0.4301  1 Ti 1.96
F: 0.6534 0.6177 0.5699  1 Ti 1.96
F: 0.1534 0.1177 0.9301  1 Ti 1.96
F: 0.8466 0.6177 0.0699  1 Ti 1.96
F: 0.4990 0.1611 0.0347  1 Ti 2.02
F: 0.5010 0.6611 0.9653  1 Ti 2.02
F: 0.0010 0.1611 0.5347  1 Ti 2.02
F: 0.9990 0.6611 0.4653  1 Ti 2.02
F: 0.4806 0.5470 0.1728  1 Ti 1.99
F: 0.5194 0.0470 0.8272  1 Ti 1.99
F: 0.0194 0.5470 0.6728  1 Ti 1.99
F: 0.9806 0.0470 0.3272  1 Ti 1.99
F: 0.5305 0.1931 0.1902  1 Ti 2.03
F: 0.4695 0.6931 0.8098  1 Ti 2.03
F: 0.9695 0.1931 0.6902  1 Ti 2.03
F: 0.0305 0.6931 0.3098  1 Ti 2.03
F: 0.3039 0.4600 0.3085  1 Ti 1.93
F: 0.6961 0.9600 0.6915  1 Ti 1.93
F: 0.1961 0.4600 0.8085  1 Ti 1.93
F: 0.8039 0.9600 0.1915  1 Ti 1.93
F: 0.0459 0.3263 0.4206  1 Ti 2.00
F: 0.9541 0.8263 0.5794  1 Ti 2.00
F: 0.4541 0.3263 0.9206  1 Ti 2.00
F: 0.5459 0.8263 0.0794  1 Ti 2.00
F: 0.0165 0.2002 0.2110  1 Ti 2.01
F: 0.9835 0.7002 0.7890  1 Ti 2.01
F: 0.4835 0.2002 0.7110  1 Ti 2.01
F: 0.5165 0.7002 0.2890  1 Ti 2.01
F: 0.5584 0.3558 0.4630  1 Ti 2.02
F: 0.4416 0.8558 0.5370  1 Ti 2.02
F: 0.9416 0.3558 0.9630  1 Ti 2.02
F: 0.0584 0.8558 0.0370  1 Ti 2.02
F: 0.1840 0.7494 0.1800  1 Ti 1.96
F: 0.8160 0.2494 0.8200  1 Ti 1.96
F: 0.3160 0.7494 0.6800  1 Ti 1.96
F: 0.6840 0.2494 0.3200  1 Ti 1.96
F: 0.3060 0.4086 0.0548  1 Ti 1.92
F: 0.6940 0.9086 0.9452  1 Ti 1.92
F: 0.1940 0.4086 0.5548  1 Ti 1.92
F: 0.8060 0.9086 0.4452  1 Ti 1.92
F: 0.4661 0.0106 0.2900  1 Ti 2.02
F: 0.5339 0.5106 0.7100  1 Ti 2.02
F: 0.0339 0.0106 0.7900  1 Ti 2.02
F: 0.9661 0.5106 0.2100  1 Ti 2.02